{"formula": "Li3Ti4MnO12", "functional": "PBE with a Hubbard U", "state": "relaxed", "formation_enthalpy_0k_mev_per_atom": -2820, "vol_a3_per_atom": 10.2, "final_energy_ev_per_atom": -7.616, "magnetic_moment_mub_per_cell": 0.0, "sg": "P1 (1)", "lattice": [[-1.055, 4.489, -2.017], [-0.793, -2.378, -4.847], [-7.053, -0.620, 2.329]], "species": ["Li", "Li", "Li", "Ti", "Ti", "Ti", "Ti", "Mn", "O", "O", "O", "O", "O", "O", "O", "O", "O", "O", "O", "O"], "fractional_positions": [[0.500, 0.064, 0.209], [0.997, 0.578, 0.221], [0.498, 0.056, 0.719], [0.007, 0.008, 0.013], [0.492, 0.481, 0.490], [0.987, 0.012, 0.492], [0.520, 0.493, 0.010], [0.001, 0.610, 0.701], [0.291, 0.769, 0.591], [0.122, 0.960, 0.263], [0.321, 0.152, 0.956], [0.174, 0.305, 0.595], [0.808, 0.282, 0.081], [0.375, 0.469, 0.260], [0.667, 0.468, 0.764], [0.178, 0.639, 0.929], [0.825, 0.652, 0.471], [0.695, 0.775, 0.082], [0.878, 0.937, 0.763], [0.663, 0.151, 0.460]]}



{"formula": "Li4Ti3MnO8", "functional": "PBE with a Hubbard U", "state": "relaxed", "formation_enthalpy_0k_mev_per_atom": -2813, "vol_a3_per_atom": 9.6, "final_energy_ev_per_atom": -7.369, "magnetic_moment_mub_per_cell": 3.0, "sg": "C2/m (12)", "lattice": [[10.466, 0.008, 0.014], [8.753, 5.739, 0.014], [13.988, 4.182, 2.573]], "species": ["Li", "Li", "Li", "Li", "Ti", "Ti", "Ti", "Mn", "O", "O", "O", "O", "O", "O", "O", "O"], "fractional_positions": [[0.000, 0.000, 0.500], [0.000, 0.500, 0.500], [0.500, 0.000, 0.500], [0.500, 0.500, 0.500], [0.000, 0.500, 0.000], [0.500, 0.000, 0.000], [0.500, 0.500, 0.000], [0.000, 0.000, 0.000], [0.001, 0.001, 0.254], [0.001, 0.473, 0.273], [0.473, 0.000, 0.273], [0.999, 0.999, 0.746], [0.528, 0.528, 0.219], [0.000, 0.527, 0.727], [0.527, 0.000, 0.727], [0.472, 0.472, 0.781]]}



{"formula": "Li4Ti2Mn3O10", "functional": "PBE with a Hubbard U", "state": "relaxed", "polymorph_energy_ev_per_fu": 0.00, "formation_enthalpy_0k_mev_per_atom": -2597, "vol_a3_per_atom": 10.4, "final_energy_ev_per_atom": -7.256, "magnetic_moment_mub_per_cell": 0.0, "lattice": [[-1.130, 5.138, -0.141], [-2.370, 2.168, 7.304], [10.392, 0.089, 0.174]], "species": ["Li", "Li", "Li", "Li", "Li", "Li", "Li", "Li", "Ti", "Ti", "Ti", "Ti", "Mn", "Mn", "Mn", "Mn", "Mn", "Mn", "O", "O", "O", "O", "O", "O", "O", "O", "O", "O", "O", "O", "O", "O", "O", "O", "O", "O", "O", "O"], "fractional_positions": [[0.481, 0.398, 0.121], [0.481, 0.398, 0.620], [0.520, 0.602, 0.379], [0.519, 0.602, 0.880], [0.575, 0.751, 0.191], [0.575, 0.751, 0.691], [0.425, 0.249, 0.309], [0.425, 0.249, 0.809], [0.052, 0.676, 0.043], [0.052, 0.676, 0.543], [0.948, 0.324, 0.457], [0.948, 0.324, 0.957], [0.500, 0.000, 0.500], [0.986, 0.118, 0.162], [0.014, 0.882, 0.838], [0.500, 0.000, 0.000], [0.986, 0.118, 0.662], [0.014, 0.882, 0.338], [0.246, 0.826, 0.999], [0.247, 0.826, 0.499], [0.753, 0.174, 0.501], [0.753, 0.174, 0.001], [0.781, 0.553, 0.054], [0.781, 0.553, 0.554], [0.219, 0.447, 0.446], [0.219, 0.447, 0.946], [0.801, 0.926, 0.168], [0.801, 0.926, 0.668], [0.199, 0.073, 0.332], [0.199, 0.074, 0.832], [0.229, 0.224, 0.115], [0.229, 0.224, 0.615], [0.771, 0.776, 0.385], [0.771, 0.776, 0.885], [0.271, 0.663, 0.206], [0.271, 0.663, 0.706], [0.729, 0.337, 0.294], [0.729, 0.337, 0.794]]}



{"formula": "Li4TiMn3O8", "functional": "PBE with a Hubbard U", "state": "relaxed", "polymorph_energy_ev_per_fu": 0.88, "formation_enthalpy_0k_mev_per_atom": -2342, "vol_a3_per_atom": 12.0, "final_energy_ev_per_atom": -6.849, "magnetic_moment_mub_per_cell": 0.0, "lattice": [[-0.523, 2.606, 4.987], [-7.808, -2.661, 0.701], [4.594, -6.198, 3.408]], "species": ["Li", "Li", "Li", "Li", "Li", "Li", "Li", "Li", "Ti", "Ti", "Mn", "Mn", "Mn", "Mn", "Mn", "Mn", "O", "O", "O", "O", "O", "O", "O", "O", "O", "O", "O", "O", "O", "O", "O", "O"], "fractional_positions": [[0.081, 0.809, 0.184], [0.081, 0.309, 0.684], [0.418, 0.309, 0.186], [0.418, 0.809, 0.686], [0.589, 0.937, 0.063], [0.589, 0.437, 0.563], [0.912, 0.435, 0.057], [0.912, 0.935, 0.557], [0.915, 0.689, 0.813], [0.915, 0.189, 0.313], [0.084, 0.066, 0.932], [0.419, 0.558, 0.934], [0.588, 0.184, 0.812], [0.084, 0.566, 0.432], [0.419, 0.058, 0.434], [0.588, 0.684, 0.313], [0.069, 0.252, 0.147], [0.069, 0.752, 0.647], [0.067, 0.513, 0.873], [0.067, 0.013, 0.373], [0.429, 0.521, 0.379], [0.429, 0.021, 0.879], [0.440, 0.751, 0.141], [0.440, 0.251, 0.641], [0.570, 0.355, 0.996], [0.570, 0.855, 0.496], [0.605, 0.633, 0.758], [0.605, 0.133, 0.258], [0.892, 0.634, 0.246], [0.892, 0.134, 0.746], [0.923, 0.868, 0.991], [0.923, 0.368, 0.491]]}



{"formula": "Li3Ti2Mn3O10", "functional": "PBE with a Hubbard U", "state": "relaxed", "formation_enthalpy_0k_mev_per_atom": -2580, "vol_a3_per_atom": 10.7, "final_energy_ev_per_atom": -7.391, "magnetic_moment_mub_per_cell": 0.0, "lattice": [[-3.330, -2.769, -2.956], [8.679, -4.736, -2.374], [-2.870, -2.269, 7.252]], "species": ["Li", "Li", "Li", "Li", "Li", "Li", "Ti", "Ti", "Ti", "Ti", "Mn", "Mn", "Mn", "Mn", "Mn", "Mn", "O", "O", "O", "O", "O", "O", "O", "O", "O", "O", "O", "O", "O", "O", "O", "O", "O", "O", "O", "O"], "fractional_positions": [[0.500, 0.250, 0.500], [0.500, 0.750, 0.500], [0.232, 0.454, 0.400], [0.232, 0.954, 0.400], [0.768, 0.046, 0.600], [0.768, 0.546, 0.600], [0.120, 0.356, 0.683], [0.120, 0.856, 0.683], [0.880, 0.144, 0.317], [0.880, 0.644, 0.317], [0.000, 0.750, 0.000], [0.688, 0.943, 0.895], [0.312, 0.557, 0.105], [0.000, 0.250, 0.000], [0.688, 0.443, 0.895], [0.312, 0.057, 0.105], [0.005, 0.042, 0.847], [0.005, 0.542, 0.847], [0.995, 0.458, 0.153], [0.995, 0.958, 0.153], [0.340, 0.367, 0.928], [0.340, 0.867, 0.928], [0.660, 0.133, 0.072], [0.660, 0.633, 0.072], [0.120, 0.157, 0.525], [0.120, 0.657, 0.525], [0.880, 0.343, 0.475], [0.880, 0.843, 0.475], [0.189, 0.235, 0.214], [0.189, 0.735, 0.215], [0.811, 0.265, 0.786], [0.811, 0.765, 0.786], [0.432, 0.436, 0.647], [0.432, 0.936, 0.647], [0.568, 0.064, 0.353], [0.568, 0.564, 0.353]]}



{"formula": "Li2TiMn2O6", "functional": "PBE with a Hubbard U", "state": "relaxed", "polymorph_energy_ev_per_fu": 0.00, "formation_enthalpy_0k_mev_per_atom": -2470, "vol_a3_per_atom": 11.0, "final_energy_ev_per_atom": -7.222, "magnetic_moment_mub_per_cell": 0.0, "sg": "Cmce (64)", "lattice": [[-1.502, -1.114, -4.775], [4.878, -1.107, 1.132], [-2.843, -9.376, 3.082]], "species": ["Li", "Li", "Li", "Li", "Ti", "Ti", "Mn", "Mn", "Mn", "Mn", "O", "O", "O", "O", "O", "O", "O", "O", "O", "O", "O", "O"], "fractional_positions": [[0.101, 0.601, 0.750], [0.399, 0.899, 0.250], [0.601, 0.101, 0.750], [0.899, 0.399, 0.250], [0.000, 0.000, 0.000], [0.500, 0.500, 0.500], [0.336, 0.664, 0.000], [0.836, 0.164, 0.500], [0.164, 0.836, 0.500], [0.664, 0.336, 0.000], [0.172, 0.172, 0.590], [0.328, 0.328, 0.090], [0.672, 0.672, 0.910], [0.828, 0.828, 0.410], [0.049, 0.707, 0.111], [0.951, 0.293, 0.889], [0.207, 0.549, 0.389], [0.451, 0.793, 0.611], [0.293, 0.951, 0.889], [0.549, 0.207, 0.389], [0.793, 0.451, 0.611], [0.707, 0.049, 0.111]]}



{"formula": "Li3TiMn3O8", "functional": "PBE with a Hubbard U", "state": "relaxed", "polymorph_energy_ev_per_fu": 0.16, "formation_enthalpy_0k_mev_per_atom": -2377, "vol_a3_per_atom": 9.8, "final_energy_ev_per_atom": -7.056, "magnetic_moment_mub_per_cell": 24.0, "sg": "Cc (9)", "lattice": [[5.036, 3.022, 0.000], [-5.036, 3.022, 0.000], [0.000, 0.768, 9.646]], "species": ["Li", "Li", "Li", "Li", "Li", "Li", "Ti", "Ti", "Mn", "Mn", "Mn", "Mn", "Mn", "Mn", "O", "O", "O", "O", "O", "O", "O", "O", "O", "O", "O", "O", "O", "O", "O", "O"], "fractional_positions": [[0.352, 0.167, 0.552], [0.829, 0.652, 0.562], [0.828, 0.176, 0.558], [0.176, 0.828, 0.058], [0.167, 0.352, 0.052], [0.652, 0.829, 0.062], [0.645, 0.325, 0.002], [0.325, 0.645, 0.502], [0.340, 0.170, 0.281], [0.831, 0.659, 0.287], [0.832, 0.164, 0.287], [0.164, 0.832, 0.787], [0.170, 0.340, 0.781], [0.659, 0.831, 0.787], [0.976, 0.987, 0.176], [0.987, 0.976, 0.676], [0.338, 0.193, 0.909], [0.494, 0.469, 0.150], [0.501, 0.036, 0.148], [0.693, 0.338, 0.404], [0.833, 0.683, 0.910], [0.954, 0.479, 0.158], [0.199, 0.851, 0.411], [0.851, 0.199, 0.911], [0.036, 0.501, 0.648], [0.338, 0.693, 0.904], [0.479, 0.954, 0.658], [0.193, 0.338, 0.409], [0.469, 0.494, 0.650], [0.683, 0.833, 0.410]]}



{"formula": "Li8TiMn3O12", "functional": "PBE with a Hubbard U", "state": "relaxed", "formation_enthalpy_0k_mev_per_atom": -2293, "vol_a3_per_atom": 8.7, "final_energy_ev_per_atom": -6.325, "magnetic_moment_mub_per_cell": 0.0, "lattice": [[-2.252, 3.785, -2.270], [-5.062, -5.430, -4.034], [-6.556, 0.563, 7.468]], "species": ["Li", "Li", "Li", "Li", "Li", "Li", "Li", "Li", "Li", "Li", "Li", "Li", "Li", "Li", "Li", "Li", "Ti", "Ti", "Mn", "Mn", "Mn", "Mn", "Mn", "Mn", "O", "O", "O", "O", "O", "O", "O", "O", "O", "O", "O", "O", "O", "O", "O", "O", "O", "O", "O", "O", "O", "O", "O", "O"], "fractional_positions": [[0.004, 0.921, 0.250], [0.004, 0.921, 0.750], [0.002, 0.231, 0.250], [0.002, 0.231, 0.750], [0.000, 0.564, 0.000], [0.000, 0.564, 0.500], [0.000, 0.253, 0.000], [0.000, 0.253, 0.500], [0.501, 0.758, 0.250], [0.501, 0.757, 0.750], [0.500, 0.728, 0.500], [0.500, 0.728, 0.000], [0.500, 0.415, 0.000], [0.500, 0.415, 0.500], [0.503, 0.071, 0.250], [0.503, 0.071, 0.750], [0.000, 0.901, 0.000], [0.000, 0.901, 0.500], [0.001, 0.580, 0.750], [0.500, 0.085, 0.000], [0.500, 0.085, 0.500], [0.001, 0.580, 0.250], [0.501, 0.404, 0.250], [0.501, 0.404, 0.750], [0.139, 0.741, 0.127], [0.138, 0.741, 0.627], [0.862, 0.741, 0.373], [0.863, 0.741, 0.873], [0.176, 0.418, 0.143], [0.176, 0.418, 0.643], [0.826, 0.418, 0.357], [0.825, 0.418, 0.857], [0.180, 0.070, 0.109], [0.180, 0.070, 0.609], [0.822, 0.070, 0.392], [0.822, 0.070, 0.892], [0.327, 0.567, 0.357], [0.326, 0.567, 0.857], [0.675, 0.567, 0.143], [0.675, 0.567, 0.643], [0.330, 0.921, 0.391], [0.330, 0.921, 0.891], [0.671, 0.921, 0.109], [0.671, 0.921, 0.609], [0.352, 0.245, 0.376], [0.353, 0.245, 0.876], [0.649, 0.245, 0.125], [0.648, 0.245, 0.624]]}